# 1
Entry from the Materials Project database: a geometry-optimized FeOF structure (PBE with a Hubbard U).

abc: 6.2988 6.2988 3.9647
angles: 90.00 90.00 90.12
Atoms (fractional coordinates):
Fe (0.9997, 0.2570, 0.0000)
Fe (0.0003, 0.7430, 0.0000)
Fe (0.2570, 0.9997, 0.5000)
Fe (0.7430, 0.0003, 0.5000)
O (0.0007, 0.2114, 0.5000)
O (0.2114, 0.0007, 0.0000)
O (0.7886, 0.9993, 0.0000)
O (0.9993, 0.7886, 0.5000)
F (0.2000, 0.4996, 0.0000)
F (0.4996, 0.2000, 0.5000)
F (0.5004, 0.8000, 0.5000)
F (0.8000, 0.5004, 0.0000)

## Properties
M_tot   0.00 Bohr magnetons per cell
ΔE_f   -2024 meV/atom
Corrected total energy (MP2020 scheme)   -7.135 eV per atom
Volume   157.3 Å³/cell



# 2
Entry from the Materials Project database: a geometry-optimized LiCr2O4 structure (PBE with a Hubbard U).

abc: 5.7951 5.7951 5.0874
angles: 90.30 90.30 60.89
Atoms (fractional coordinates):
Li (0.1405, 0.8595, 0.7500)
Li (0.8595, 0.1405, 0.2500)
Cr (0.1412, 0.3899, 0.2492)
Cr (0.3899, 0.1412, 0.7492)
Cr (0.6101, 0.8588, 0.2508)
Cr (0.8588, 0.6101, 0.7508)
O (0.0375, 0.2647, 0.5710)
O (0.2191, 0.4909, 0.9075)
O (0.2647, 0.0375, 0.0710)
O (0.4909, 0.2191, 0.4075)
O (0.5091, 0.7809, 0.5925)
O (0.7353, 0.9625, 0.9290)
O (0.7809, 0.5091, 0.0925)
O (0.9625, 0.7353, 0.4290)

## Properties
M_tot   10.00 Bohr magnetons per cell
ΔE_f   -2174 meV/atom
Polymorph energy (0 for the lowest one)   0.0840 eV per atom
Corrected total energy (MP2020 scheme)   -8.032 eV per atom
Volume   149.3 Å³/cell



# 3
Entry from the Materials Project database: a geometry-optimized LaZnFeNiO6 structure (PBE with a Hubbard U).

abc: 5.3035 5.4641 9.3000
angles: 90.00 124.57 90.00
Atoms (fractional coordinates):
La (0.0000, 0.2183, 0.0000)
La (0.0000, 0.7817, 0.5000)
Zn (0.5339, 0.2891, 0.5015)
Zn (0.5339, 0.7109, 0.0015)
Fe (0.2587, 0.2544, 0.7483)
Fe (0.2587, 0.7456, 0.2483)
Ni (0.7593, 0.2502, 0.2505)
Ni (0.7593, 0.7498, 0.7505)
O (0.1465, 0.2317, 0.5040)
O (0.1465, 0.7683, 0.0040)
O (0.4325, 0.2916, 0.9962)
O (0.4325, 0.7084, 0.4962)
O (0.5096, 0.0453, 0.3079)
O (0.5096, 0.9547, 0.8079)
O (0.5760, 0.4884, 0.8030)
O (0.5760, 0.5116, 0.3030)
O (0.8996, 0.0501, 0.6933)
O (0.8996, 0.9499, 0.1933)
O (0.9659, 0.4901, 0.1932)
O (0.9659, 0.5099, 0.6932)

## Properties
M_tot   10.00 Bohr magnetons per cell
ΔE_f   -1911 meV/atom
Corrected total energy (MP2020 scheme)   -6.924 eV per atom
Volume   221.9 Å³/cell



# 4
Entry from the Materials Project database: a geometry-optimized CrWO6 structure (PBE with a Hubbard U).

abc: 5.3423 5.3473 5.3922
angles: 119.52 90.22 119.86
Atoms (fractional coordinates):
Cr (0.0000, 0.0000, 0.0000)
W (0.5010, 0.0056, 0.5040)
O (0.2604, 0.5366, 0.3138)
O (0.2675, 0.0519, 0.8314)
O (0.2700, 0.0642, 0.3217)
O (0.7773, 0.0429, 0.8266)
O (0.7822, 0.0512, 0.3154)
O (0.7865, 0.5655, 0.8340)

## Properties
M_tot   0.00 Bohr magnetons per cell
ΔE_f   -1684 meV/atom
Polymorph energy (0 for the lowest one)   0.0000 eV per atom
Corrected total energy (MP2020 scheme)   -8.222 eV per atom
Volume   109.7 Å³/cell



# 5
Entry from the Materials Project database: a geometry-optimized LiTl3Mo2O8 structure (PBE with a Hubbard U).

abc: 6.1431 6.1431 16.1924
angles: 90.00 90.00 120.00
Atoms (fractional coordinates):
Li (0.3333, 0.6667, 0.0000)
Li (0.6667, 0.3333, 0.5000)
Tl (0.0000, 0.0000, 0.1039)
Tl (0.0000, 0.0000, 0.3566)
Tl (0.0000, 0.0000, 0.6039)
Tl (0.0000, 0.0000, 0.8566)
Tl (0.3333, 0.6667, 0.2027)
Tl (0.6667, 0.3333, 0.7027)
Mo (0.3333, 0.6667, 0.5024)
Mo (0.3333, 0.6667, 0.7734)
Mo (0.6667, 0.3333, 0.0024)
Mo (0.6667, 0.3333, 0.2734)
O (0.0143, 0.5072, 0.5412)
O (0.1719, 0.3437, 0.7379)
O (0.1719, 0.8281, 0.7379)
O (0.3333, 0.6667, 0.3922)
O (0.3333, 0.6667, 0.8823)
O (0.3437, 0.1719, 0.2379)
O (0.4928, 0.5072, 0.5412)
O (0.4928, 0.9857, 0.5412)
O (0.5072, 0.0143, 0.0412)
O (0.5072, 0.4928, 0.0412)
O (0.6563, 0.8281, 0.7379)
O (0.6667, 0.3333, 0.3823)
O (0.6667, 0.3333, 0.8922)
O (0.8281, 0.1719, 0.2379)
O (0.8281, 0.6563, 0.2379)
O (0.9857, 0.4928, 0.0412)

## Properties
M_tot   0.00 Bohr magnetons per cell
ΔE_f   -1812 meV/atom
Corrected total energy (MP2020 scheme)   -6.832 eV per atom
Volume   529.2 Å³/cell



# 6
Entry from the Materials Project database: a geometry-optimized MgTi3V5O16 structure (PBE with a Hubbard U).

abc: 5.9485 5.9625 9.2390
angles: 90.03 90.15 119.70
Atoms (fractional coordinates):
Mg (0.0000, 0.0000, 0.0000)
Ti (0.5125, 0.9984, 0.1839)
Ti (0.8547, 0.2026, 0.6642)
Ti (0.9966, 0.5006, 0.1844)
V (0.0213, 0.9969, 0.4019)
V (0.3298, 0.6638, 0.8940)
V (0.3384, 0.1557, 0.6801)
V (0.4962, 0.4995, 0.1828)
V (0.8110, 0.6710, 0.6632)
O (0.1418, 0.8570, 0.5481)
O (0.1442, 0.2809, 0.5481)
O (0.1824, 0.3711, 0.0474)
O (0.1822, 0.8082, 0.0478)
O (0.3098, 0.1463, 0.2841)
O (0.3250, 0.6699, 0.2861)
O (0.4890, 0.4977, 0.7744)
O (0.4942, 0.0018, 0.7756)
O (0.6277, 0.8193, 0.0485)
O (0.6617, 0.3319, 0.5668)
O (0.6648, 0.3226, 0.0803)
O (0.7169, 0.8536, 0.5430)
O (0.8387, 0.1563, 0.2834)
O (0.8478, 0.6741, 0.2855)
O (0.9934, 0.0006, 0.7850)
O (0.9950, 0.5089, 0.7728)

## Properties
M_tot   7.01 Bohr magnetons per cell
ΔE_f   -2855 meV/atom
Polymorph energy (0 for the lowest one)   0.0000 eV per atom
Corrected total energy (MP2020 scheme)   -8.850 eV per atom
Volume   284.6 Å³/cell